Record 1
First-principles (PBE-GGA) data for an optimized crystal structure of KRb2ScBr6, as listed in Materials Project.

```
data_KRb2ScBr6
_symmetry_space_group_name_H-M 'P 1'
_symmetry_Int_Tables_number 1
_cell_length_a 8.1999
_cell_length_b 8.1999
_cell_length_c 8.1999
_cell_angle_alpha 60.00
_cell_angle_beta 60.00
_cell_angle_gamma 60.00
loop_
_symmetry_equiv_pos_as_xyz
'x,y,z'
loop_
_atom_site_label
_atom_site_type_symbol
_atom_site_fract_x
_atom_site_fract_y
_atom_site_fract_z
K1 K 0.5000 0.5000 0.5000
Rb1 Rb 0.7500 0.7500 0.7500
Rb2 Rb 0.2500 0.2500 0.2500
Sc1 Sc 0.0000 0.0000 0.0000
Br1 Br 0.7706 0.2294 0.2294
Br2 Br 0.2294 0.2294 0.7706
Br3 Br 0.2294 0.7706 0.7706
Br4 Br 0.2294 0.7706 0.2294
Br5 Br 0.7706 0.2294 0.7706
Br6 Br 0.7706 0.7706 0.2294
```

Properties
energy relative to the elements	-2.07	eV per atom



Record 2
First-principles (PBE-GGA) data for an optimized crystal structure of Th2Si3Ru, as listed in Materials Project.

```
data_Th2Si3Ru
_symmetry_space_group_name_H-M 'P 1'
_symmetry_Int_Tables_number 1
_cell_length_a 7.7937
_cell_length_b 7.7937
_cell_length_c 7.7937
_cell_angle_alpha 149.70
_cell_angle_beta 148.73
_cell_angle_gamma 44.10
loop_
_symmetry_equiv_pos_as_xyz
'x,y,z'
loop_
_atom_site_label
_atom_site_type_symbol
_atom_site_fract_x
_atom_site_fract_y
_atom_site_fract_z
Th1 Th 0.7475 0.2475 0.5000
Th2 Th 0.0017 0.0017 0.0000
Si1 Si 0.5829 0.5829 0.0000
Si2 Si 0.3317 0.8317 0.5000
Si3 Si 0.4187 0.4187 0.0000
Ru1 Ru 0.1677 0.6677 0.5000
```

Properties
energy relative to the elements	-0.78	eV per atom



Record 3
First-principles (PBE-GGA) data for an optimized crystal structure of SrGe7N10, as listed in Materials Project.

```
data_SrGe7N10
_symmetry_space_group_name_H-M 'P 1'
_symmetry_Int_Tables_number 1
_cell_length_a 7.2646
_cell_length_b 7.1667
_cell_length_c 10.2416
_cell_angle_alpha 90.00
_cell_angle_beta 105.47
_cell_angle_gamma 90.00
loop_
_symmetry_equiv_pos_as_xyz
'x,y,z'
loop_
_atom_site_label
_atom_site_type_symbol
_atom_site_fract_x
_atom_site_fract_y
_atom_site_fract_z
Sr1 Sr 0.9146 0.0240 0.6349
Sr2 Sr 0.9146 0.9760 0.1349
Ge1 Ge 0.5451 0.9708 0.8268
Ge2 Ge 0.5451 0.0292 0.3268
Ge3 Ge 0.3495 0.0281 0.0176
Ge4 Ge 0.3495 0.9719 0.5176
Ge5 Ge 0.1120 0.3932 0.0752
Ge6 Ge 0.1120 0.6068 0.5752
Ge7 Ge 0.6655 0.3654 0.9933
Ge8 Ge 0.6655 0.6346 0.4933
Ge9 Ge 0.8515 0.6275 0.8128
Ge10 Ge 0.8515 0.3725 0.3128
Ge11 Ge 0.2972 0.6219 0.8844
Ge12 Ge 0.2972 0.3781 0.3844
Ge13 Ge 0.4862 0.3700 0.6891
Ge14 Ge 0.4862 0.6300 0.1891
N1 N 0.7727 0.8601 0.8423
N2 N 0.7727 0.1399 0.3423
N3 N 0.5730 0.1267 0.9798
N4 N 0.5730 0.8733 0.4798
N5 N 0.3175 0.8748 0.8624
N6 N 0.3175 0.1252 0.3624
N7 N 0.1419 0.1545 0.0268
N8 N 0.1419 0.8455 0.5268
N9 N 0.2841 0.4984 0.7254
N10 N 0.2841 0.5016 0.2254
N11 N 0.4590 0.1159 0.6722
N12 N 0.4590 0.8841 0.1722
N13 N 0.8868 0.3724 0.1338
N14 N 0.8868 0.6276 0.6338
N15 N 0.0803 0.5835 0.9436
N16 N 0.0803 0.4165 0.4436
N17 N 0.7078 0.4147 0.8249
N18 N 0.7078 0.5853 0.3249
N19 N 0.4977 0.5386 0.0240
N20 N 0.4977 0.4614 0.5240
```

Properties
energy relative to the elements	-0.33	eV per atom



Record 4
First-principles (PBE-GGA) data for an optimized crystal structure of CuH9C4NO6, as listed in Materials Project.

```
data_CuH9C4NO6
_symmetry_space_group_name_H-M 'P 1'
_symmetry_Int_Tables_number 1
_cell_length_a 5.7819
_cell_length_b 8.8756
_cell_length_c 19.1954
_cell_angle_alpha 90.00
_cell_angle_beta 90.00
_cell_angle_gamma 90.00
loop_
_symmetry_equiv_pos_as_xyz
'x,y,z'
loop_
_atom_site_label
_atom_site_type_symbol
_atom_site_fract_x
_atom_site_fract_y
_atom_site_fract_z
Cu1 Cu 0.0000 0.0000 0.5000
Cu2 Cu 0.5000 0.5000 0.5000
Cu3 Cu 0.0000 0.0000 0.0000
Cu4 Cu 0.5000 0.5000 0.0000
H1 H 0.2341 0.5594 0.2500
H2 H 0.2659 0.0594 0.2500
H3 H 0.9006 0.2803 0.3876
H4 H 0.4640 0.2404 0.4018
H5 H 0.1118 0.1697 0.7500
H6 H 0.5910 0.8500 0.1343
H7 H 0.0994 0.7197 0.6124
H8 H 0.7659 0.4406 0.7500
H9 H 0.9640 0.2596 0.5982
H10 H 0.3882 0.6697 0.7500
H11 H 0.2303 0.3649 0.2500
H12 H 0.8882 0.8303 0.2500
H13 H 0.7697 0.6351 0.7500
H14 H 0.4006 0.2197 0.6124
H15 H 0.4090 0.1500 0.8657
H16 H 0.0360 0.7404 0.4018
H17 H 0.5360 0.7596 0.5982
H18 H 0.4006 0.2197 0.8876
H19 H 0.9640 0.2596 0.9018
H20 H 0.5994 0.7803 0.1124
H21 H 0.2697 0.8649 0.2500
H22 H 0.0994 0.7197 0.8876
H23 H 0.5910 0.8500 0.3657
H24 H 0.9090 0.3500 0.1343
H25 H 0.7341 0.9406 0.7500
H26 H 0.5994 0.7803 0.3876
H27 H 0.9090 0.3500 0.3657
H28 H 0.4640 0.2404 0.0982
H29 H 0.6118 0.3303 0.2500
H30 H 0.0910 0.6500 0.8657
H31 H 0.0360 0.7404 0.0982
H32 H 0.4090 0.1500 0.6343
H33 H 0.5360 0.7596 0.9018
H34 H 0.9006 0.2803 0.1124
H35 H 0.7303 0.1351 0.7500
H36 H 0.0910 0.6500 0.6343
C1 C 0.3415 0.2145 0.4447
C2 C 0.1585 0.7145 0.4447
C3 C 0.3415 0.2145 0.0553
C4 C 0.3195 0.9043 0.7500
C5 C 0.8415 0.2855 0.5553
C6 C 0.6585 0.7855 0.9447
C7 C 0.0547 0.0514 0.7500
C8 C 0.4453 0.5514 0.7500
C9 C 0.8195 0.5957 0.2500
C10 C 0.6805 0.0957 0.2500
C11 C 0.1585 0.7145 0.0553
C12 C 0.6585 0.7855 0.5553
C13 C 0.1805 0.4043 0.7500
C14 C 0.9453 0.9486 0.2500
C15 C 0.8415 0.2855 0.9447
C16 C 0.5547 0.4486 0.2500
N1 N 0.3242 0.4608 0.2500
N2 N 0.6758 0.5392 0.7500
N3 N 0.1758 0.9608 0.2500
N4 N 0.8242 0.0392 0.7500
O1 O 0.1967 0.9624 0.6973
O2 O 0.6967 0.5376 0.1973
O3 O 0.3033 0.4624 0.8027
O4 O 0.8033 0.0376 0.3027
O5 O 0.1771 0.8072 0.0054
O6 O 0.2323 0.0910 0.0617
O7 O 0.2677 0.5910 0.0617
O8 O 0.6967 0.5376 0.3027
O9 O 0.7677 0.9090 0.9383
O10 O 0.8229 0.1928 0.5054
O11 O 0.6771 0.6928 0.9946
O12 O 0.7323 0.4090 0.5617
O13 O 0.8033 0.0376 0.1973
O14 O 0.6771 0.6928 0.5054
O15 O 0.8229 0.1928 0.9946
O16 O 0.7677 0.9090 0.5617
O17 O 0.2323 0.0910 0.4383
O18 O 0.7323 0.4090 0.9383
O19 O 0.2677 0.5910 0.4383
O20 O 0.1771 0.8072 0.4946
O21 O 0.3033 0.4624 0.6973
O22 O 0.3229 0.3072 0.4946
O23 O 0.3229 0.3072 0.0054
O24 O 0.1967 0.9624 0.8027
```

Properties
energy relative to the elements	-0.59	eV per atom
relative energy among the computed polymorphs	0	meV/atom



Record 5
First-principles (PBE-GGA) data for an optimized crystal structure of Ce3SnN, as listed in Materials Project.

```
data_Ce3SnN
_symmetry_space_group_name_H-M 'P 1'
_symmetry_Int_Tables_number 1
_cell_length_a 4.8954
_cell_length_b 4.8954
_cell_length_c 4.8954
_cell_angle_alpha 90.00
_cell_angle_beta 90.00
_cell_angle_gamma 90.00
loop_
_symmetry_equiv_pos_as_xyz
'x,y,z'
loop_
_atom_site_label
_atom_site_type_symbol
_atom_site_fract_x
_atom_site_fract_y
_atom_site_fract_z
Ce1 Ce 0.5000 0.0000 0.0000
Ce2 Ce 0.0000 0.5000 0.0000
Ce3 Ce 0.0000 0.0000 0.5000
Sn1 Sn 0.5000 0.5000 0.5000
N1 N 0.0000 0.0000 0.0000
```

Properties
energy relative to the elements	-1.05	eV per atom



Record 6
First-principles (PBE-GGA) data for an optimized crystal structure of BeCl2, as listed in Materials Project.

```
data_BeCl2
_symmetry_space_group_name_H-M 'P 1'
_symmetry_Int_Tables_number 1
_cell_length_a 6.5859
_cell_length_b 6.5859
_cell_length_c 6.5859
_cell_angle_alpha 133.05
_cell_angle_beta 128.35
_cell_angle_gamma 72.36
loop_
_symmetry_equiv_pos_as_xyz
'x,y,z'
loop_
_atom_site_label
_atom_site_type_symbol
_atom_site_fract_x
_atom_site_fract_y
_atom_site_fract_z
Be1 Be 0.0000 0.7500 0.7500
Be2 Be 0.0000 0.2500 0.2500
Cl1 Cl 0.2954 0.6035 0.6919
Cl2 Cl 0.7046 0.3965 0.3081
Cl3 Cl 0.9115 0.1035 0.8081
Cl4 Cl 0.0885 0.8965 0.1919
```

Properties
energy relative to the elements	-1.84	eV per atom
relative energy among the computed polymorphs	0	meV/atom



Record 7
First-principles (PBE-GGA) data for an optimized crystal structure of Te4Mo3WSe2S2, as listed in Materials Project.

```
data_Te4Mo3WSe2S2
_symmetry_space_group_name_H-M 'P 1'
_symmetry_Int_Tables_number 1
_cell_length_a 3.3956
_cell_length_b 3.3956
_cell_length_c 38.6799
_cell_angle_alpha 90.00
_cell_angle_beta 90.00
_cell_angle_gamma 120.00
loop_
_symmetry_equiv_pos_as_xyz
'x,y,z'
loop_
_atom_site_label
_atom_site_type_symbol
_atom_site_fract_x
_atom_site_fract_y
_atom_site_fract_z
Te1 Te 0.0000 0.0000 0.7060
Te2 Te 0.3333 0.6667 0.0455
Te3 Te 0.3333 0.6667 0.1424
Te4 Te 0.0000 0.0000 0.6091
Mo1 Mo 0.0000 0.0000 0.0939
Mo2 Mo 0.3333 0.6667 0.2818
Mo3 Mo 0.3333 0.6667 0.6575
W1 W 0.0000 0.0000 0.4696
Se1 Se 0.0000 0.0000 0.3245
Se2 Se 0.0000 0.0000 0.2392
S1 S 0.3333 0.6667 0.4307
S2 S 0.3333 0.6667 0.5086
```

Properties
energy relative to the elements	-0.54	eV per atom
relative energy among the computed polymorphs	1	meV/atom



Record 8
First-principles (PBE-GGA) data for an optimized crystal structure of Mg14TiBi, as listed in Materials Project.

```
data_Mg14TiBi
_symmetry_space_group_name_H-M 'P 1'
_symmetry_Int_Tables_number 1
_cell_length_a 6.3721
_cell_length_b 6.3721
_cell_length_c 10.4114
_cell_angle_alpha 90.00
_cell_angle_beta 90.00
_cell_angle_gamma 120.00
loop_
_symmetry_equiv_pos_as_xyz
'x,y,z'
loop_
_atom_site_label
_atom_site_type_symbol
_atom_site_fract_x
_atom_site_fract_y
_atom_site_fract_z
Mg1 Mg 0.1683 0.8341 0.1250
Mg2 Mg 0.1647 0.8324 0.6250
Mg3 Mg 0.6659 0.3317 0.1250
Mg4 Mg 0.6676 0.3353 0.6250
Mg5 Mg 0.6659 0.8341 0.1250
Mg6 Mg 0.6676 0.8324 0.6250
Mg7 Mg 0.3323 0.1677 0.3672
Mg8 Mg 0.3323 0.1677 0.8828
Mg9 Mg 0.3323 0.6647 0.3672
Mg10 Mg 0.3323 0.6647 0.8828
Mg11 Mg 0.8353 0.1677 0.3672
Mg12 Mg 0.8353 0.1677 0.8828
Mg13 Mg 0.8333 0.6667 0.3726
Mg14 Mg 0.8333 0.6667 0.8774
Ti1 Ti 0.1667 0.3333 0.1250
Bi1 Bi 0.1667 0.3333 0.6250
```

Properties
energy relative to the elements	0.03	eV per atom
relative energy among the computed polymorphs	8	meV/atom



> Which value of energy relative to the elements does entry 2 give?

-0.78 eV per atom



> Among the records above, which one has the lowest energy relative to the elements?

KRb2ScBr6



> energy relative to the elements of number 6 (BeCl2)?

-1.84 eV per atom



> energy relative to the elements of number 2 (Th2Si3Ru)?

-0.78 eV per atom